Record 1
## V23Se40 (PBE)

Data for an optimized crystal structure of V23Se40.

Summary:
Total moment, μB/atom: 0.300
Calculated total energy, eV/atom: -6.210
Space-group type: C2/m

abc: 12.541 12.541 30.700
angles: 76.46 76.46 15.68
Fractional coordinates of all 63 atoms:
V 0.877 0.877 0.736
V 0.625 0.625 0.772
V 0.377 0.377 0.615
V 0.123 0.123 0.686
V 0.251 0.251 0.651
V 0.876 0.876 0.526
V 0.624 0.624 0.566
V 0.877 0.877 0.314
V 0.124 0.124 0.474
V 0.623 0.623 0.385
V 0.376 0.376 0.434
V 0.375 0.375 0.228
V 0.749 0.749 0.349
V 0.123 0.123 0.264
V 0.625 0.625 0.175
V 0.373 0.373 0.035
V 0.875 0.875 0.123
V 0.127 0.127 0.085
V 0.873 0.873 0.915
V 0.125 0.125 0.877
V 0.500 0.500 0.000
V 0.627 0.627 0.965
V 0.375 0.375 0.825
Se 0.064 0.064 0.820
Se 0.310 0.310 0.773
Se 0.194 0.194 0.732
Se 0.942 0.942 0.782
Se 0.682 0.682 0.631
Se 0.557 0.557 0.723
Se 0.429 0.429 0.681
Se 0.818 0.818 0.671
Se 0.942 0.942 0.577
Se 0.190 0.190 0.528
Se 0.308 0.308 0.569
Se 0.071 0.071 0.621
Se 0.810 0.810 0.472
Se 0.441 0.441 0.481
Se 0.692 0.692 0.431
Se 0.559 0.559 0.519
Se 0.182 0.182 0.329
Se 0.929 0.929 0.379
Se 0.318 0.318 0.369
Se 0.058 0.058 0.423
Se 0.806 0.806 0.268
Se 0.571 0.571 0.319
Se 0.443 0.443 0.277
Se 0.690 0.690 0.227
Se 0.058 0.058 0.218
Se 0.314 0.314 0.170
Se 0.936 0.936 0.180
Se 0.192 0.192 0.130
Se 0.560 0.560 0.122
Se 0.807 0.807 0.072
Se 0.443 0.443 0.081
Se 0.679 0.679 0.030
Se 0.068 0.068 0.021
Se 0.321 0.321 0.970
Se 0.193 0.193 0.928
Se 0.932 0.932 0.979
Se 0.557 0.557 0.919
Se 0.808 0.808 0.870
Se 0.440 0.440 0.878
Se 0.686 0.686 0.830

***

Record 2
## V2Se9 (PBE)

Data for an optimized crystal structure of V2Se9.

Summary:
Calculated total energy, eV/atom: -4.921
Space-group type: C2/c

abc: 8.638 8.638 8.526
angles: 83.86 83.86 101.48
Fractional coordinates of all 22 atoms:
V 0.400 0.864 0.085
V 0.136 0.600 0.415
V 0.600 0.136 0.915
V 0.864 0.400 0.585
Se 0.394 0.699 0.528
Se 0.301 0.606 0.972
Se 0.705 0.102 0.621
Se 0.898 0.295 0.879
Se 0.295 0.898 0.379
Se 0.102 0.705 0.121
Se 0.139 0.328 0.557
Se 0.672 0.861 0.943
Se 0.861 0.672 0.443
Se 0.328 0.139 0.057
Se 0.006 0.334 0.335
Se 0.666 0.994 0.165
Se 0.994 0.666 0.665
Se 0.334 0.006 0.835
Se 0.699 0.394 0.028
Se 0.606 0.301 0.472
Se 0.406 0.594 0.250
Se 0.594 0.406 0.750

***

Record 3
## WSe2 (PBE)

Data for an optimized crystal structure of WSe2.

Summary:
Piezoelectric modulus e_max, C/m2: 0.21
Calculated total energy, eV/atom: -7.206
Space-group type: P-6m2

abc: 3.326 3.326 17.527
angles: 90.00 90.00 120.00
Fractional coordinates of all 3 atoms:
W 0.000 0.000 0.000
Se 0.333 0.667 0.096
Se 0.333 0.667 0.904

***

Record 4
## WSe2 (PBE)

Data for an optimized crystal structure of WSe2.

Summary:
Calculated total energy, eV/atom: -7.207
Space-group type: P-3m1

abc: 3.327 3.327 40.138
angles: 90.00 90.00 120.00
Fractional coordinates of all 12 atoms:
W 0.667 0.333 0.906
W 0.667 0.333 0.282
W 0.333 0.667 0.718
W 0.333 0.667 0.094
Se 0.333 0.667 0.948
Se 0.333 0.667 0.323
Se 0.667 0.333 0.760
Se 0.667 0.333 0.136
Se 0.333 0.667 0.864
Se 0.333 0.667 0.240
Se 0.667 0.333 0.677
Se 0.667 0.333 0.052

***

Number 1: formation energy from the elements -0.974 eV per atom. Number 2: formation energy from the elements -0.796 eV per atom. Number 3: formation energy from the elements -0.871 eV per atom. Number 4: formation energy from the elements -0.872 eV per atom.